No. 1
DFT (PBE) results for a relaxed structure of Y9Al5S21.

Unit cell a=11.4420 b=11.4420 c=11.4420 alpha=94.22 beta=94.22 gamma=94.22
Fractional coordinates of all 70 atoms:
Al1 0.9524 0.6121 0.2788
Al2 0.6406 0.6406 0.6406
Al3 0.6121 0.2788 0.9524
Al4 0.3230 0.3230 0.3230
Al5 0.7748 0.1169 0.4522
Al6 0.1401 0.1401 0.1401
Al7 0.1169 0.4522 0.7748
Al8 0.4522 0.7748 0.1169
Al9 0.2788 0.9524 0.6121
Al10 0.8228 0.8228 0.8228
S1 0.7031 0.1906 0.6161
S2 0.8272 0.4908 0.1595
S3 0.1333 0.6451 0.2188
S4 0.8438 0.2805 0.3714
S5 0.0557 0.2033 0.9590
S6 0.5885 0.4437 0.6881
S7 0.1595 0.8272 0.4908
S8 0.6161 0.7031 0.1906
S9 0.3759 0.5097 0.2713
S10 0.4614 0.9910 0.5539
S11 0.9921 0.3260 0.6595
S12 0.9987 0.8974 0.7607
S13 0.9590 0.0557 0.2033
S14 0.2805 0.3714 0.8438
S15 0.8967 0.7959 0.3068
S16 0.9910 0.5539 0.4614
S17 0.3324 0.2387 0.1054
S18 0.2188 0.1333 0.6451
S19 0.7129 0.8460 0.6195
S20 0.7607 0.9987 0.8974
S21 0.3714 0.8438 0.2805
S22 0.3068 0.8967 0.7959
S23 0.0363 0.5257 0.9354
S24 0.4437 0.6881 0.5885
S25 0.4908 0.1595 0.8272
S26 0.6881 0.5885 0.4437
S27 0.9354 0.0363 0.5257
S28 0.2387 0.1054 0.3324
S29 0.3260 0.6595 0.9921
S30 0.7959 0.3068 0.8967
S31 0.1054 0.3324 0.2387
S32 0.6451 0.2188 0.1333
S33 0.5539 0.4614 0.9910
S34 0.5097 0.2713 0.3759
S35 0.6595 0.9921 0.3260
S36 0.2713 0.3759 0.5097
S37 0.5257 0.9354 0.0363
S38 0.6195 0.7129 0.8460
S39 0.8974 0.7607 0.9987
S40 0.8460 0.6195 0.7129
S41 0.2033 0.9590 0.0557
S42 0.1906 0.6161 0.7031
Y1 0.2216 0.4537 0.0707
Y2 0.9277 0.7767 0.5441
Y3 0.4513 0.2327 0.6017
Y4 0.6017 0.4513 0.2327
Y5 0.8995 0.1258 0.7565
Y6 0.7767 0.5441 0.9277
Y7 0.8847 0.2619 0.1217
Y8 0.7938 0.4166 0.5647
Y9 0.4537 0.0707 0.2216
Y10 0.0707 0.2216 0.4537
Y11 0.4166 0.5647 0.7938
Y12 0.2327 0.6017 0.4513
Y13 0.2619 0.1217 0.8847
Y14 0.5647 0.7938 0.4166
Y15 0.5441 0.9277 0.7767
Y16 0.1217 0.8847 0.2619
Y17 0.7565 0.8995 0.1258
Y18 0.1258 0.7565 0.8995

## Properties
mass density	3.60	g cm⁻³
space group	R3, No. 146
calculated total energy	-0.235	Ha/atom
volume	1485.2	Å³/cell
MP2020-corrected energy	-468.71	eV/cell

***

No. 2
DFT (PBE) results for a relaxed structure of PrBr3.

Unit cell a=8.0702 b=8.0702 c=4.4534 alpha=90.00 beta=90.00 gamma=120.00
Fractional coordinates of all 8 atoms:
Br1 0.3007 0.9129 0.7500
Br2 0.6993 0.0871 0.2500
Br3 0.3877 0.3007 0.2500
Br4 0.0871 0.3877 0.7500
Br5 0.9129 0.6123 0.2500
Br6 0.6123 0.6993 0.7500
Pr1 0.6667 0.3333 0.7500
Pr2 0.3333 0.6667 0.2500

## Properties
mass density	5.03	g cm⁻³
space group	P6_3/m, No. 176
calculated total energy	-0.159	Ha/atom
volume	251.2	Å³/cell
MP2020-corrected energy	-37.86	eV/cell

***

No. 3
DFT (PBE) results for a relaxed structure of TaCo2.

Unit cell a=4.7524 b=4.7524 c=15.4754 alpha=90.00 beta=90.00 gamma=120.00
Fractional coordinates of all 24 atoms:
Co1 0.5000 0.0000 0.5000
Co2 0.0000 0.5000 0.5000
Co3 0.8349 0.6697 0.7500
Co4 0.5000 0.5000 0.0000
Co5 0.0000 0.5000 0.0000
Co6 0.6667 0.3333 0.8741
Co7 0.8349 0.1651 0.7500
Co8 0.3333 0.6667 0.3741
Co9 0.5000 0.0000 0.0000
Co10 0.6667 0.3333 0.6259
Co11 0.5000 0.5000 0.5000
Co12 0.1651 0.3303 0.2500
Co13 0.6697 0.8349 0.2500
Co14 0.3333 0.6667 0.1259
Co15 0.3303 0.1651 0.7500
Co16 0.1651 0.8349 0.2500
Ta1 0.0000 0.0000 0.4076
Ta2 0.0000 0.0000 0.0924
Ta3 0.0000 0.0000 0.5924
Ta4 0.0000 0.0000 0.9076
Ta5 0.3333 0.6667 0.6558
Ta6 0.3333 0.6667 0.8442
Ta7 0.6667 0.3333 0.1558
Ta8 0.6667 0.3333 0.3442

## Properties
mass density	13.11	g cm⁻³
space group	P6_3/mmc, No. 194
calculated total energy	-0.327	Ha/atom
volume	302.7	Å³/cell

***

No. 4
DFT (PBE) results for a relaxed structure of Pr3Ni2Sn7.

Unit cell a=4.6406 b=5.4631 c=14.2129 alpha=90.00 beta=99.40 gamma=90.00
Fractional coordinates of all 12 atoms:
Sn1 0.7190 0.5000 0.4381
Sn2 0.4124 0.0000 0.8248
Sn3 0.2810 0.5000 0.5619
Sn4 0.8910 0.5000 0.7821
Sn5 0.1090 0.5000 0.2179
Sn6 0.5876 0.0000 0.1752
Sn7 0.0000 0.0000 0.0000
Pr1 0.1889 0.0000 0.3777
Pr2 0.8111 0.0000 0.6223
Pr3 0.0000 0.5000 0.0000
Ni1 0.6313 0.5000 0.2626
Ni2 0.3687 0.5000 0.7374

## Properties
mass density	6.40	g cm⁻³
space group	Cmmm, No. 65
calculated total energy	-0.167	Ha/atom
volume	355.5	Å³/cell

***

No. 5
DFT (PBE) results for a relaxed structure of Ga2BiAs.

Unit cell a=4.3403 b=4.3403 c=7.4909 alpha=73.16 beta=90.00 gamma=120.00
Fractional coordinates of all 4 atoms:
Bi1 0.4996 0.9991 0.5013
Ga1 0.8828 0.7657 0.3515
Ga2 0.3671 0.7342 0.8987
As1 0.0005 0.0010 0.9985

## Properties
mass density	6.10	g cm⁻³
relative energy among the computed polymorphs	16	meV/atom
space group	R3m, No. 160
calculated total energy	-0.138	Ha/atom
volume	115.2	Å³/cell

***

No. 6
DFT (PBE) results for a relaxed structure of LiGd2Ga.

Unit cell a=5.1559 b=5.1559 c=5.1559 alpha=60.00 beta=60.00 gamma=60.00
Fractional coordinates of all 4 atoms:
Gd1 0.2500 0.2500 0.2500
Gd2 0.7500 0.7500 0.7500
Li1 0.0000 0.0000 0.0000
Ga1 0.5000 0.5000 0.5000

## Properties
mass density	6.70	g cm⁻³
space group	Fm-3m, No. 225
calculated total energy	-0.316	Ha/atom
volume	96.9	Å³/cell

***

Question: volume of number 6 (LiGd2Ga)?
Answer: 96.9 Å³/cell